1.
## Li2MnPHO5 (PBE+U)

Data for a geometry-optimized Li2MnPHO5 structure.

## Properties
Energy above the most stable polymorph in this dataset = 0 meV per atom

Cell lengths 5.240, 11.011, 7.844 Å; angles 102.43, 72.95, 80.54 degrees
Positions (direct):
1 H 0.329 0.655 0.310
2 P 0.363 0.079 0.296
3 P 0.643 0.935 0.687
4 O 0.094 0.831 0.098
5 O 0.129 0.575 0.168
6 O 0.357 0.904 0.711
7 O 0.963 0.159 0.875
8 O 0.874 0.843 0.510
9 Mn 0.000 0.999 0.994
10 Li 0.665 0.506 0.090
11 Li 0.290 0.654 0.939
12 O 0.594 0.331 0.598
13 O 0.432 0.935 0.299
14 O 0.731 0.918 0.855
15 P 0.143 0.435 0.187
16 O 0.184 0.095 0.175
17 H 0.829 0.155 0.810
18 Li 0.016 0.341 0.525
19 O 0.374 0.343 0.010
20 O 0.932 0.435 0.800
21 Li 0.516 0.841 0.025
22 O 0.630 0.075 0.668
23 O 0.181 0.161 0.500
24 H 0.130 0.870 0.211
25 Li 0.674 0.264 0.114
26 Mn 0.500 0.499 0.494
27 P 0.863 0.579 0.796
28 O 0.631 0.124 0.235
29 O 0.681 0.661 0.000
30 O 0.131 0.624 0.735
31 O 0.857 0.404 0.211
32 Li 0.165 0.006 0.589
33 Mn 0.774 0.752 0.272
34 Li 0.174 0.764 0.614
35 Mn 0.275 0.252 0.773
36 O 0.463 0.659 0.375
37 O 0.684 0.595 0.675
38 H 0.631 0.369 0.711
39 Li 0.790 0.154 0.439
40 O 0.231 0.418 0.355



2.
## MgNi4O4F8 (PBE+U)

Data for a geometry-optimized MgNi4O4F8 structure.

## Properties
Energy above the most stable polymorph in this dataset = 32 meV per atom
Crystal system = triclinic

Cell lengths 4.003, 7.733, 7.879 Å; angles 64.41, 89.34, 89.04 degrees
Positions (direct):
1 Mg 0.000 0.000 0.000
2 Ni 0.058 0.504 0.969
3 Ni 0.480 0.872 0.324
4 Ni 0.562 0.859 0.797
5 Ni 0.998 0.506 0.466
6 O 0.149 0.218 0.065
7 O 0.408 0.165 0.188
8 O 0.726 0.142 0.729
9 O 0.859 0.230 0.557
10 F 0.030 0.504 0.716
11 F 0.031 0.521 0.210
12 F 0.056 0.831 0.862
13 F 0.496 0.907 0.546
14 F 0.502 0.585 0.436
15 F 0.508 0.916 0.038
16 F 0.551 0.574 0.932
17 F 0.986 0.849 0.283



3.
## MgMnO2 (PBE+U)

Data for a geometry-optimized MgMnO2 structure.

## Properties
Crystal system = triclinic

Cell lengths 3.033, 8.368, 8.451 Å; angles 90.32, 100.34, 100.14 degrees
Positions (direct):
1 Mg 0.000 0.000 0.000
2 Mg 0.142 0.523 0.788
3 Mg 0.421 0.167 0.655
4 Mg 0.733 0.355 0.133
5 Mn 0.237 0.844 0.660
6 Mn 0.462 0.482 0.479
7 Mn 0.675 0.041 0.309
8 Mn 0.899 0.679 0.128
9 O 0.166 0.186 0.160
10 O 0.235 0.998 0.469
11 O 0.244 0.500 0.019
12 O 0.482 0.870 0.093
13 O 0.660 0.653 0.695
14 O 0.902 0.023 0.769
15 O 0.902 0.524 0.319
16 O 0.987 0.336 0.628



4.
## CsNa5Fe2O6 (PBE+U)

Data for a geometry-optimized CsNa5Fe2O6 structure.

## Properties
Crystal system = orthorhombic

Cell lengths 12.129, 12.105, 9.318 Å; angles 67.52, 67.25, 45.23 degrees
Positions (direct):
1 Cs 0.004 0.496 0.211
2 Cs 0.039 0.961 0.246
3 Cs 0.496 0.004 0.289
4 Cs 0.961 0.039 0.754
5 Na 0.028 0.532 0.757
6 Na 0.123 0.123 0.377
7 Na 0.126 0.610 0.379
8 Na 0.137 0.137 0.863
9 Na 0.140 0.634 0.875
10 Na 0.365 0.871 0.640
11 Na 0.375 0.900 0.110
12 Na 0.379 0.379 0.621
13 Na 0.387 0.387 0.113
14 Na 0.493 0.567 0.222
15 Na 0.532 0.028 0.683
16 Na 0.567 0.493 0.718
17 Na 0.610 0.126 0.885
18 Na 0.617 0.617 0.383
19 Na 0.629 0.629 0.871
20 Na 0.634 0.140 0.350
21 Na 0.867 0.867 0.633
22 Na 0.871 0.365 0.124
23 Na 0.873 0.873 0.127
24 Na 0.900 0.375 0.616
25 Fe 0.214 0.293 0.542
26 Fe 0.291 0.699 0.547
27 Fe 0.293 0.214 0.951
28 Fe 0.299 0.708 0.957
29 Fe 0.699 0.291 0.463
30 Fe 0.703 0.787 0.959
31 Fe 0.708 0.299 0.036
32 Fe 0.787 0.703 0.551
33 O 0.003 0.504 0.533
34 O 0.142 0.678 0.578
35 O 0.145 0.201 0.102
36 O 0.148 0.698 0.105
37 O 0.201 0.145 0.552
38 O 0.257 0.257 0.743
39 O 0.290 0.717 0.746
40 O 0.298 0.846 0.386
41 O 0.304 0.862 0.944
42 O 0.306 0.360 0.946
43 O 0.360 0.306 0.388
44 O 0.498 0.498 0.502
45 O 0.504 0.003 0.960
46 O 0.507 0.507 0.993
47 O 0.648 0.672 0.572
48 O 0.672 0.648 0.108
49 O 0.678 0.142 0.602
50 O 0.698 0.148 0.049
51 O 0.717 0.290 0.247
52 O 0.748 0.748 0.752
53 O 0.779 0.864 0.404
54 O 0.846 0.298 0.471
55 O 0.862 0.304 0.890
56 O 0.864 0.779 0.952



5.
## V2CdP2O10 (PBE+U)

Data for a geometry-optimized V2CdP2O10 structure.

## Properties
Energy above the most stable polymorph in this dataset = 0 meV per atom
Crystal system = monoclinic

Cell lengths 5.246, 8.106, 17.489 Å; angles 90.00, 92.98, 90.00 degrees
Positions (direct):
1 V 0.040 0.034 0.147
2 V 0.040 0.466 0.647
3 V 0.339 0.627 0.931
4 V 0.339 0.873 0.431
5 V 0.661 0.127 0.569
6 V 0.661 0.373 0.069
7 V 0.960 0.534 0.353
8 V 0.960 0.966 0.853
9 Cd 0.409 0.224 0.318
10 Cd 0.409 0.276 0.818
11 Cd 0.591 0.724 0.182
12 Cd 0.591 0.776 0.682
13 P 0.141 0.234 0.985
14 P 0.141 0.266 0.485
15 P 0.167 0.067 0.686
16 P 0.167 0.433 0.186
17 P 0.833 0.567 0.814
18 P 0.833 0.933 0.314
19 P 0.859 0.734 0.515
20 P 0.859 0.766 0.015
21 O 0.081 0.513 0.859
22 O 0.081 0.987 0.359
23 O 0.116 0.677 0.015
24 O 0.116 0.823 0.515
25 O 0.171 0.147 0.905
26 O 0.171 0.353 0.405
27 O 0.177 0.108 0.050
28 O 0.177 0.392 0.550
29 O 0.181 0.243 0.200
30 O 0.181 0.257 0.700
31 O 0.195 0.516 0.265
32 O 0.195 0.984 0.765
33 O 0.271 0.593 0.681
34 O 0.271 0.907 0.181
35 O 0.288 0.690 0.390
36 O 0.288 0.810 0.890
37 O 0.364 0.136 0.489
38 O 0.364 0.364 0.989
39 O 0.409 0.015 0.642
40 O 0.409 0.485 0.142
41 O 0.591 0.515 0.858
42 O 0.591 0.985 0.358
43 O 0.636 0.636 0.011
44 O 0.636 0.864 0.511
45 O 0.712 0.190 0.110
46 O 0.712 0.310 0.610
47 O 0.729 0.093 0.819
48 O 0.729 0.407 0.319
49 O 0.805 0.016 0.235
50 O 0.805 0.484 0.735
51 O 0.819 0.743 0.300
52 O 0.819 0.757 0.800
53 O 0.823 0.608 0.450
54 O 0.823 0.892 0.950
55 O 0.829 0.647 0.595
56 O 0.829 0.853 0.095
57 O 0.884 0.177 0.485
58 O 0.884 0.323 0.985
59 O 0.919 0.013 0.641
60 O 0.919 0.487 0.141



6.
## Li9Mn2Co5O16 (PBE+U)

Data for a geometry-optimized Li9Mn2Co5O16 structure.

## Properties
Energy above the most stable polymorph in this dataset = 80 meV per atom
Crystal system = triclinic

Cell lengths 3.019, 5.120, 19.496 Å; angles 91.39, 93.02, 104.78 degrees
Positions (direct):
1 Li 0.000 0.000 0.000
2 Li 0.068 0.309 0.814
3 Li 0.137 0.619 0.628
4 Li 0.254 0.246 0.254
5 Li 0.383 0.878 0.878
6 Li 0.507 0.498 0.502
7 Li 0.632 0.120 0.128
8 Li 0.755 0.740 0.751
9 Li 0.881 0.372 0.378
10 Mn 0.314 0.558 0.062
11 Mn 0.953 0.685 0.190
12 Co 0.195 0.936 0.441
13 Co 0.449 0.190 0.694
14 Co 0.575 0.809 0.317
15 Co 0.678 0.429 0.933
16 Co 0.821 0.060 0.567
17 O 0.002 0.828 0.098
18 O 0.018 0.180 0.910
19 O 0.111 0.438 0.718
20 O 0.172 0.794 0.532
21 O 0.213 0.073 0.350
22 O 0.260 0.416 0.155
23 O 0.365 0.695 0.971
24 O 0.407 0.033 0.773
25 O 0.457 0.316 0.602
26 O 0.555 0.671 0.407
27 O 0.636 0.951 0.225
28 O 0.640 0.299 0.026
29 O 0.730 0.586 0.854
30 O 0.763 0.925 0.656
31 O 0.832 0.199 0.475
32 O 0.938 0.547 0.282



7.
## SrVZnP2O8 (PBE+U)

Data for a geometry-optimized SrVZnP2O8 structure.

## Properties
Energy above the most stable polymorph in this dataset = 0 meV per atom
Crystal system = triclinic

Cell lengths 5.533, 7.043, 9.522 Å; angles 110.93, 101.58, 98.15 degrees
Positions (direct):
1 Sr 0.245 0.298 0.047
2 Sr 0.755 0.702 0.953
3 V 0.360 0.649 0.439
4 V 0.640 0.351 0.561
5 Zn 0.006 0.122 0.353
6 Zn 0.994 0.878 0.647
7 P 0.161 0.478 0.699
8 P 0.390 0.923 0.232
9 P 0.610 0.077 0.768
10 P 0.839 0.522 0.301
11 O 0.002 0.254 0.578
12 O 0.041 0.382 0.300
13 O 0.193 0.945 0.102
14 O 0.263 0.493 0.864
15 O 0.334 0.701 0.230
16 O 0.336 0.024 0.786
17 O 0.362 0.083 0.390
18 O 0.379 0.549 0.635
19 O 0.621 0.451 0.365
20 O 0.638 0.917 0.610
21 O 0.664 0.976 0.214
22 O 0.666 0.299 0.770
23 O 0.737 0.507 0.136
24 O 0.807 0.055 0.898
25 O 0.959 0.618 0.700
26 O 0.998 0.746 0.422



8.
## Mn2Pt2O5 (PBE+U)

Data for a geometry-optimized Mn2Pt2O5 structure.

## Properties
Crystal system = tetragonal

Cell lengths 3.563, 3.563, 8.685 Å; angles 90.00, 90.00, 90.00 degrees
Positions (direct):
1 Mn 0.000 0.000 0.236
2 Mn 0.000 0.000 0.764
3 Pt 0.500 0.500 0.000
4 Pt 0.500 0.500 0.500
5 O 0.000 0.000 0.000
6 O 0.000 0.500 0.360
7 O 0.000 0.500 0.640
8 O 0.500 0.000 0.360
9 O 0.500 0.000 0.640



E_form? In order: -23.58; -29.42; -9.28; -23.51; -37.26; -57.09; -35.76; -7.77 eV/f.u..
Total energy after the MP2020 corrections? In order: -0.5153; -0.3858; -0.5500; -0.4077; -0.5716; -0.4761; -0.5552; -0.5143 Ry/atom.